Model A:
A relaxed structure of LiNiP3O9. Source: Materials Project, functional GGA+U.

Cell: 5.2713 10.6863 11.7892 Å, 90.00 90.00 90.00°
Positions (direct):
O 0.5068 0.0120 0.0370
O 0.5893 0.4122 0.2792
P 0.6249 0.9252 0.1228
O 0.5493 0.0602 0.4273
P 0.3751 0.4252 0.3772
O 0.9507 0.9398 0.9273
O 0.1262 0.7164 0.9265
O 0.6299 0.0390 0.6798
O 0.8318 0.3176 0.1187
O 0.6682 0.6824 0.6187
O 0.9107 0.5878 0.7792
Ni 0.5970 0.0344 0.8678
Li 0.6009 0.3841 0.9186
Li 0.8991 0.6159 0.4186
O 0.6573 0.8167 0.3909
O 0.8738 0.2164 0.5735
O 0.6287 0.3855 0.6770
O 0.4932 0.5120 0.4630
P 0.4174 0.8096 0.3207
O 0.3427 0.3167 0.1091
P 0.3908 0.1505 0.3606
O 0.8713 0.6145 0.1770
O 0.4507 0.5602 0.0727
O 0.8427 0.1833 0.8909
O 0.3318 0.1824 0.8813
P 0.8751 0.0748 0.6228
P 0.8908 0.3495 0.6394
O 0.8701 0.9610 0.1798
O 0.9932 0.9880 0.5370
P 0.1249 0.5748 0.8772
O 0.9323 0.8175 0.7511
O 0.3738 0.2836 0.4265
O 0.0677 0.3175 0.7489
Ni 0.4030 0.5344 0.6322
O 0.1287 0.1145 0.3230
O 0.5677 0.1825 0.2511
O 0.1299 0.4610 0.3202
O 0.4323 0.6825 0.2489
Li 0.3991 0.8841 0.5814
O 0.0893 0.0878 0.7208
P 0.1092 0.8495 0.8606
Ni 0.9030 0.9656 0.3678
O 0.1573 0.6833 0.6091
O 0.0493 0.4398 0.5727
P 0.9174 0.6904 0.6793
O 0.4107 0.9122 0.2208
P 0.0826 0.1904 0.8207
O 0.3713 0.8855 0.8230
O 0.0068 0.4880 0.9630
O 0.3701 0.5390 0.8202
P 0.5826 0.3096 0.1793
P 0.6092 0.6505 0.1394
Ni 0.0970 0.4656 0.1322
O 0.1682 0.8176 0.3813
Li 0.1009 0.1159 0.0814
O 0.6262 0.7836 0.0735

Computed properties:
* V: 664.1 Å³/cell


Model B:
A relaxed structure of LiNiP3O9. Source: Materials Project, functional GGA+U.

Cell: 6.4948 6.8322 7.3023 Å, 101.47 92.80 90.63°
Positions (direct):
Ni 0.1495 0.0868 0.8606
O 0.4341 0.6097 0.8423
P 0.3388 0.8858 0.2156
O 0.5506 0.9444 0.1803
P 0.6496 0.5607 0.8006
O 0.1200 0.2720 0.6585
O 0.8350 0.0971 0.9303
O 0.8249 0.6352 0.9446
O 0.8800 0.7280 0.3415
O 0.1751 0.3648 0.0554
Li 0.8605 0.4224 0.1747
O 0.2725 0.0158 0.4127
O 0.7054 0.6209 0.6035
O 0.7275 0.9842 0.5873
O 0.0516 0.8090 0.6779
P 0.6612 0.1142 0.7844
O 0.3230 0.6747 0.2716
O 0.9484 0.1910 0.3221
Li 0.1395 0.5776 0.8253
O 0.4494 0.0556 0.8197
P 0.8590 0.7837 0.5502
O 0.1650 0.9029 0.0697
O 0.5659 0.3903 0.1577
O 0.6770 0.3253 0.7284
O 0.2946 0.3791 0.3965
Ni 0.8505 0.9132 0.1394
P 0.3504 0.4393 0.1994
P 0.1410 0.2163 0.4498

Computed properties:
* V: 317.1 Å³/cell


model B (48 meV/atom below the next structure)